Record 1
# TmAsO4 r²SCAN optimized geometry
data_TmAsO4
_chemical_formula_sum 'Tm4 As4 O16'
_cell_length_a 6.9625
_cell_length_b 6.9625
_cell_length_c 6.2449
_cell_angle_alpha 90.00
_cell_angle_beta 90.00
_cell_angle_gamma 90.00
_space_group_name_H-M_alt 'I 41/a m d'
_space_group_IT_number 141
loop_
_space_group_symop_operation_xyz
'x,y,z'
'-x,-y,-z'
'-y+1/4,x+3/4,z+1/4'
'y+1/4,-x+3/4,-z+1/4'
'-x+1/2,-y,z+1/2'
'x+1/2,y,-z+1/2'
'y+1/4,-x+1/4,z+3/4'
'-y+1/4,x+1/4,-z+3/4'
'x,-y,-z'
'-x,y,z'
'-y+1/4,-x+1/4,-z+3/4'
'y+1/4,x+1/4,z+3/4'
'-x+1/2,y,-z+1/2'
'x+1/2,-y,z+1/2'
'y+1/4,x+3/4,-z+1/4'
'-y+1/4,-x+3/4,z+1/4'
'x+1/2,y+1/2,z+1/2'
'-x+1/2,-y+1/2,-z+1/2'
'-y+3/4,x+1/4,z+3/4'
'y+3/4,-x+1/4,-z+3/4'
'-x,-y+1/2,z'
'x,y+1/2,-z'
'y+3/4,-x+3/4,z+1/4'
'-y+3/4,x+3/4,-z+1/4'
'x+1/2,-y+1/2,-z+1/2'
'-x+1/2,y+1/2,z+1/2'
'-y+3/4,-x+3/4,-z+1/4'
'y+3/4,x+3/4,z+1/4'
'-x,y+1/2,-z'
'x,-y+1/2,z'
'y+3/4,x+1/4,-z+3/4'
'-y+3/4,-x+1/4,z+3/4'
loop_
_atom_site_label
_atom_site_fract_x
_atom_site_fract_y
_atom_site_fract_z
_atom_site_occupancy
Tm1 0.0000 0.2500 0.3750 1
As1 0.0000 0.2500 0.8750 1
O1 0.0000 0.0666 0.6969 1
# Energy of formation from the pure elements ... -2.6621 eV per atom

=====

Record 2
# Sr6ZnRu2O12 r²SCAN optimized geometry
data_Sr6ZnRu2O12
_chemical_formula_sum 'Sr12 Zn2 Ru4 O24'
_cell_length_a 16.4967
_cell_length_b 5.4950
_cell_length_c 6.9328
_cell_angle_alpha 90.00
_cell_angle_beta 113.34
_cell_angle_gamma 90.00
_space_group_name_H-M_alt 'C 1 2/m 1'
_space_group_IT_number 12
loop_
_space_group_symop_operation_xyz
'x,y,z'
'-x,-y,-z'
'-x,y,-z'
'x,-y,z'
'x+1/2,y+1/2,z'
'-x+1/2,-y+1/2,-z'
'-x+1/2,y+1/2,-z'
'x+1/2,-y+1/2,z'
loop_
_atom_site_label
_atom_site_fract_x
_atom_site_fract_y
_atom_site_fract_z
_atom_site_occupancy
Sr1 0.0479 0.0000 0.2849 1
Sr2 0.1109 0.5000 0.7066 1
Sr3 0.2076 0.5000 0.2958 1
Zn1 0.0000 0.5000 0.0000 1
Ru1 0.1706 0.0000 0.9977 1
O1 0.0552 0.5000 0.3299 1
O2 0.0883 0.2388 0.0009 1
O3 0.1140 0.0000 0.6808 1
O4 0.2206 0.0000 0.3191 1
O5 0.2500 0.2500 0.0000 1
# Energy of formation from the pure elements ... -2.3528 eV per atom

=====

Record 3
# TlInCl3 r²SCAN optimized geometry
data_TlInCl3
_chemical_formula_sum 'Tl2 In2 Cl6'
_cell_length_a 7.1254
_cell_length_b 7.4178
_cell_length_c 7.7492
_cell_angle_alpha 65.11
_cell_angle_beta 63.89
_cell_angle_gamma 61.86
_space_group_name_H-M_alt 'P 1'
_space_group_IT_number 1
loop_
_space_group_symop_operation_xyz
'x,y,z'
loop_
_atom_site_label
_atom_site_fract_x
_atom_site_fract_y
_atom_site_fract_z
_atom_site_occupancy
Tl1 0.0000 0.0000 0.0000 1
Tl2 0.4913 0.4870 0.4416 1
In1 0.2444 0.2448 0.2201 1
In2 0.7440 0.7439 0.7207 1
Cl1 0.1244 0.4212 0.9073 1
Cl2 0.3654 0.0694 0.5323 1
Cl3 0.5116 0.9239 0.0870 1
Cl4 0.5486 0.4052 0.0499 1
Cl5 0.9410 0.0832 0.3915 1
Cl6 0.9746 0.5654 0.3529 1
# Energy of formation from the pure elements ... -1.1591 eV per atom

=====

Number 1: magnetic moment 0.000 μB/f.u., E_tot -14.949 eV/atom. Number 2: magnetic moment 0.000 μB/f.u., E_tot -12.939 eV/atom. Number 3: magnetic moment 0.000 μB/f.u., E_tot -20.002 eV/atom.